## P
First-principles (GGA-PBE) data for an optimized crystal structure of LiTi2O4, as listed in Materials Project.

Computed properties:
Size of the total moment = 0.01 Bohr magnetons per cell
Space group = C2/m (12)

The structure in CIF format:
```
data_LiTi2O4
_symmetry_space_group_name_H-M 'P 1'
_symmetry_Int_Tables_number 1
_cell_length_a 4.0163
_cell_length_b 6.3410
_cell_length_c 6.5979
_cell_angle_alpha 106.21
_cell_angle_beta 90.00
_cell_angle_gamma 108.46
loop_
_symmetry_equiv_pos_as_xyz
'x,y,z'
loop_
_atom_site_label
_atom_site_fract_x
_atom_site_fract_y
_atom_site_fract_z
O1 0.3508 0.7017 0.9993
O2 0.8854 0.7709 0.3265
O3 0.1146 0.2291 0.6735
O4 0.2268 0.4536 0.3437
O5 0.4397 0.8794 0.6416
O6 0.5603 0.1206 0.3584
O7 0.7732 0.5464 0.6563
O8 0.6492 0.2983 0.0007
Ti1 0.2894 0.5787 0.7146
Ti2 0.7106 0.4213 0.2854
Ti3 0.3865 0.7729 0.2911
Ti4 0.6135 0.2271 0.7089
Li1 0.0571 0.1142 0.3493
Li2 0.9429 0.8858 0.6507
```

## Q
First-principles (GGA-PBE) data for an optimized crystal structure of LiTi2O4, as listed in Materials Project.

Computed properties:
Size of the total moment = 0.93 Bohr magnetons per cell
Space group = P2/m (10)

The structure in CIF format:
```
data_LiTi2O4
_symmetry_space_group_name_H-M 'P 1'
_symmetry_Int_Tables_number 1
_cell_length_a 3.9127
_cell_length_b 8.2043
_cell_length_c 8.9051
_cell_angle_alpha 89.90
_cell_angle_beta 90.00
_cell_angle_gamma 90.00
loop_
_symmetry_equiv_pos_as_xyz
'x,y,z'
loop_
_atom_site_label
_atom_site_fract_x
_atom_site_fract_y
_atom_site_fract_z
Ti1 0.5000 0.1454 0.3771
Ti2 0.5000 0.8546 0.6229
Ti3 0.0000 0.8535 0.8856
Ti4 0.0000 0.3881 0.8890
Ti5 0.0000 0.6119 0.1110
Ti6 0.5000 0.6120 0.3827
Ti7 0.0000 0.1465 0.1144
Ti8 0.5000 0.3880 0.6173
O1 0.0000 0.6306 0.3464
O2 0.5000 0.8827 0.8559
O3 0.0000 0.1169 0.3492
O4 0.5000 0.3747 0.3975
O5 0.0000 0.3694 0.6536
O6 0.0000 0.8831 0.6508
O7 0.5000 0.8746 0.4029
O8 0.5000 0.1254 0.5971
O9 0.0000 0.1244 0.9005
O10 0.5000 0.6313 0.1470
O11 0.5000 0.1173 0.1441
O12 0.0000 0.3753 0.1097
O13 0.0000 0.8756 0.0995
O14 0.0000 0.6247 0.8903
O15 0.5000 0.3687 0.8530
O16 0.5000 0.6253 0.6025
Li1 0.5000 0.1263 0.8675
Li2 0.5000 0.8737 0.1325
Li3 0.0000 0.1270 0.6326
Li4 0.0000 0.8730 0.3674
```

Which structure is most stable? Q, by 6 meV per atom over the runner-up.